A:
Na3BiO3 (PBE, optimized geometry); SG = I-43m, No. 217
1.0
-0.194 -1.537 8.326
-3.501 7.552 -1.558
-4.338 -6.019 -4.083
Na Bi O
12 4 12
direct
0.246 0.722 0.722 Na
0.722 0.722 0.246 Na
0.722 0.246 0.722 Na
0.000 0.525 0.278 Na
0.000 0.278 0.525 Na
0.754 0.475 0.475 Na
0.475 0.475 0.754 Na
0.525 0.278 0.000 Na
0.278 0.000 0.525 Na
0.525 0.000 0.278 Na
0.475 0.754 0.475 Na
0.278 0.525 0.000 Na
0.000 0.715 0.000 Bi
0.000 0.000 0.715 Bi
0.285 0.285 0.285 Bi
0.715 0.000 0.000 Bi
0.484 0.256 0.484 O
0.256 0.484 0.484 O
0.484 0.484 0.256 O
0.516 0.772 0.000 O
0.772 0.000 0.516 O
0.516 0.000 0.772 O
0.228 0.744 0.228 O
0.772 0.516 0.000 O
0.000 0.516 0.772 O
0.228 0.228 0.744 O
0.744 0.228 0.228 O
0.000 0.772 0.516 O

=====

B:
Na3BiO3 (PBE, optimized geometry); SG = P-1, No. 2
1.0
9.568 -3.750 1.151
0.260 3.221 9.837
-7.919 -8.058 -0.959
Na Bi O
24 8 24
direct
0.489 0.080 0.914 Na
0.352 0.077 0.528 Na
0.900 0.090 0.487 Na
0.610 0.153 0.359 Na
0.435 0.297 0.774 Na
0.136 0.330 0.585 Na
0.894 0.349 0.660 Na
0.272 0.495 0.942 Na
0.572 0.409 0.616 Na
0.875 0.519 0.892 Na
0.513 0.328 0.158 Na
0.278 0.537 0.555 Na
0.722 0.463 0.445 Na
0.487 0.672 0.842 Na
0.125 0.481 0.108 Na
0.428 0.591 0.384 Na
0.728 0.505 0.058 Na
0.106 0.651 0.340 Na
0.864 0.670 0.415 Na
0.565 0.703 0.226 Na
0.390 0.847 0.641 Na
0.100 0.910 0.513 Na
0.648 0.923 0.472 Na
0.511 0.920 0.086 Na
0.153 0.177 0.846 Bi
0.734 0.166 0.783 Bi
0.290 0.270 0.321 Bi
0.836 0.265 0.235 Bi
0.164 0.735 0.765 Bi
0.710 0.730 0.679 Bi
0.266 0.834 0.217 Bi
0.847 0.823 0.154 Bi
0.529 0.066 0.721 O
0.134 0.137 0.646 O
0.736 0.149 0.592 O
0.361 0.279 0.938 O
0.055 0.361 0.876 O
0.643 0.134 0.151 O
0.675 0.365 0.834 O
0.331 0.298 0.526 O
0.886 0.292 0.441 O
0.496 0.349 0.364 O
0.258 0.551 0.758 O
0.794 0.546 0.682 O
0.206 0.454 0.318 O
0.742 0.449 0.242 O
0.504 0.651 0.636 O
0.114 0.708 0.559 O
0.669 0.702 0.474 O
0.325 0.635 0.166 O
0.357 0.866 0.849 O
0.945 0.639 0.124 O
0.639 0.721 0.062 O
0.264 0.851 0.408 O
0.866 0.863 0.354 O
0.471 0.934 0.279 O

=====

It comes down to A, which is 37 meV per atom more stable than the next structure.

=====

A:
NaTi2BiO6 (PBE, optimized geometry); SG = Cmm2, No. 35
1.0
3.851 -3.894 0.000
3.851 3.894 0.000
0.000 0.000 4.231
Na Ti Bi O
1 2 1 6
direct
0.000 0.000 0.565 Na
0.500 0.000 0.023 Ti
0.000 0.500 0.023 Ti
0.500 0.500 0.611 Bi
0.500 0.000 0.440 O
0.000 0.500 0.440 O
0.734 0.734 0.937 O
0.266 0.266 0.937 O
0.751 0.249 0.921 O
0.249 0.751 0.921 O

=====

B:
NaTi2BiO6 (PBE, optimized geometry); SG = C2/m, No. 12
1.0
2.746 5.398 0.000
-2.746 5.398 0.000
0.000 2.121 5.223
Na Ti Bi O
1 2 1 6
direct
0.500 0.500 0.500 Na
0.232 0.232 0.400 Ti
0.768 0.768 0.600 Ti
0.000 0.000 0.000 Bi
0.177 0.177 0.147 O
0.823 0.823 0.853 O
0.122 0.623 0.351 O
0.377 0.878 0.649 O
0.878 0.377 0.649 O
0.623 0.122 0.351 O

=====

It comes down to A, which is 11 meV per atom more stable than the next structure.